# NaC2NO3

A geometry-optimized NaC2NO3 structure (GGA-PBE, the Materials Project).

abc: 3.6248 5.4232 20.5219
angles: 90.00 98.96 90.00
With the nearest neighbours (Å) after each atom.
Fractional coordinates of all 28 atoms:
Na1 0.1657 0.1636 0.1897  6 O 2.36-2.55
Na2 0.1657 0.3364 0.6897  6 O 2.36-2.55
Na3 0.8343 0.6636 0.3103  6 O 2.36-2.55
Na4 0.8343 0.8364 0.8103  6 O 2.36-2.55
C1 0.3368 0.5847 0.0898  1 O 1.26, 1 N 1.34
C2 0.3368 0.9153 0.5898  1 O 1.26, 1 N 1.34
C3 0.4185 0.1554 0.3420  2 O 1.26
C4 0.4185 0.3446 0.8420  2 O 1.26
C5 0.5815 0.6554 0.1580  2 O 1.26
C6 0.5815 0.8446 0.6580  2 O 1.26
C7 0.6632 0.0847 0.4102  1 O 1.26, 1 N 1.34
C8 0.6632 0.4153 0.9102  1 O 1.26, 1 N 1.34
N1 0.2928 0.7419 0.5430  1 C 1.34
N2 0.2928 0.7581 0.0430  1 C 1.34
N3 0.7072 0.2419 0.9570  1 C 1.34
N4 0.7072 0.2581 0.4570  1 C 1.34
O1 0.1890 0.1252 0.5828  1 C 1.26
O2 0.1890 0.3748 0.0828  1 C 1.26
O3 0.3317 0.1207 0.8340  1 C 1.26
O4 0.3317 0.3793 0.3340  1 C 1.26
O5 0.3423 0.5193 0.8015  1 C 1.26
O6 0.3423 0.9807 0.3015  1 C 1.26
O7 0.6577 0.0193 0.6985  1 C 1.26
O8 0.6577 0.4807 0.1985  1 C 1.26
O9 0.6683 0.6207 0.6660  1 C 1.26
O10 0.6683 0.8793 0.1660  1 C 1.26
O11 0.8110 0.6252 0.9172  1 C 1.26
O12 0.8110 0.8748 0.4172  1 C 1.26

Computed properties:
Calculated density, g/cm³: 1.817
M_tot, μB per atom: 0.286
Energy of formation, meV per atom: -831
Relative energy among the computed polymorphs, kJ per mole of atoms: 50.4
Total energy, eV/cell: -186.9


# Na3Si

A geometry-optimized Na3Si structure (GGA-PBE, the Materials Project).

abc: 5.1762 5.1762 5.1762
angles: 60.00 60.00 60.00
With the nearest neighbours (Å) after each atom.
Fractional coordinates of all 4 atoms:
Na1 0.0000 0.0000 0.0000  8 Na 3.17
Na2 0.2500 0.2500 0.2500  4 Si 3.17, 4 Na 3.17
Na3 0.7500 0.7500 0.7500  4 Si 3.17, 4 Na 3.17
Si1 0.5000 0.5000 0.5000  8 Na 3.17

Computed properties:
Calculated density, g/cm³: 1.643
M_tot, μB per atom: 0.005
Energy of formation, meV per atom: 179
Total energy, eV/cell: -8.7


# Nb3Bi5O15

A geometry-optimized Nb3Bi5O15 structure (GGA-PBE, the Materials Project).

abc: 22.1221 5.5257 5.5983
angles: 90.00 90.00 90.00
With the nearest neighbours (Å) after each atom.
Fractional coordinates of all 46 atoms:
Nb1 0.0000 0.0000 0.0000  4 O 1.89-2.02
Nb2 0.0000 0.5000 0.5000  4 O 1.89-2.02
Nb3 0.3915 0.0018 0.5179  3 O 1.81-1.97
Nb4 0.3915 0.4982 0.0179  3 O 1.81-1.97
Nb5 0.6085 0.5018 0.0179  3 O 1.81-1.97
Nb6 0.6085 0.9982 0.5179  3 O 1.81-1.97
Bi1 0.1239 0.5247 0.0607  4 O 2.28-2.38
Bi2 0.1239 0.9753 0.5607  4 O 2.28-2.38
Bi3 0.2414 0.0119 0.0201  4 O 2.22-2.33
Bi4 0.2414 0.4881 0.5201  4 O 2.22-2.33
Bi5 0.5000 0.0000 0.0944  3 O 2.16-2.39
Bi6 0.5000 0.5000 0.5944  3 O 2.16-2.39
Bi7 0.7586 0.5119 0.5201  4 O 2.22-2.33
Bi8 0.7586 0.9881 0.0201  4 O 2.22-2.33
Bi9 0.8761 0.0247 0.5607  4 O 2.28-2.38
Bi10 0.8761 0.4753 0.0607  4 O 2.28-2.38
O1 0.0224 0.2448 0.7056  1 Nb 1.89
O2 0.0224 0.2552 0.2056  1 Nb 1.89
O3 0.0857 0.6055 0.4330  1 Nb 2.02
O4 0.0857 0.8945 0.9330  1 Nb 2.02
O5 0.1906 0.2422 0.7658  3 Bi 2.22-2.38
O6 0.1906 0.2578 0.2658  3 Bi 2.22-2.38
O7 0.1923 0.7443 0.7622  3 Bi 2.24-2.33
O8 0.1923 0.7557 0.2622  3 Bi 2.24-2.33
O9 0.3098 0.0065 0.5117  1 Nb 1.81
O10 0.3098 0.4935 0.0117  1 Nb 1.81
O11 0.4098 0.2067 0.2084  2 Nb 1.97-2.11
O12 0.4098 0.2933 0.7084  2 Nb 1.97-2.11
O13 0.4112 0.7299 0.2694  2 Nb 1.95-2.09
O14 0.4112 0.7701 0.7694  2 Nb 1.95-2.09
O15 0.5000 0.0000 0.4797  1 Bi 2.16, 2 Nb 2.41
O16 0.5000 0.5000 0.9797  1 Bi 2.16, 2 Nb 2.41
O17 0.5888 0.2299 0.7694  2 Nb 1.95-2.09
O18 0.5888 0.2701 0.2694  2 Nb 1.95-2.09
O19 0.5902 0.7067 0.7084  2 Nb 1.97-2.11
O20 0.5902 0.7933 0.2084  2 Nb 1.97-2.11
O21 0.6902 0.5065 0.0117  1 Nb 1.81
O22 0.6902 0.9935 0.5117  1 Nb 1.81
O23 0.8077 0.2443 0.2622  3 Bi 2.24-2.33
O24 0.8077 0.2557 0.7622  3 Bi 2.24-2.33
O25 0.8094 0.7422 0.2658  3 Bi 2.22-2.38
O26 0.8094 0.7578 0.7658  3 Bi 2.22-2.38
O27 0.9143 0.1055 0.9330  1 Nb 2.02
O28 0.9143 0.3945 0.4330  1 Nb 2.02
O29 0.9776 0.7448 0.2056  1 Nb 1.89
O30 0.9776 0.7552 0.7056  1 Nb 1.89

Computed properties:
Calculated density, g/cm³: 7.588
M_tot, μB per atom: 0.000
Energy of formation, meV per atom: -2310
Total energy, eV/cell: -333.6


# Zr2NbMoC4

A geometry-optimized Zr2NbMoC4 structure (GGA-PBE, the Materials Project).

abc: 10.6727 10.6727 10.6727
angles: 17.48 17.48 17.48
With the nearest neighbours (Å) after each atom.
Fractional coordinates of all 8 atoms:
Zr1 0.0000 0.0000 0.0000  6 C 2.33
Zr2 0.2456 0.2456 0.2456  6 C 2.33-2.34
Nb1 0.4933 0.4933 0.4933  6 C 2.25-2.28
Mo1 0.7492 0.7492 0.7492  6 C 2.22-2.23
C1 0.1204 0.1204 0.1204  3 Mo 2.22, 3 Nb 2.25
C2 0.3775 0.3775 0.3775  3 Mo 2.23, 3 Zr 2.33
C3 0.6228 0.6228 0.6228  6 Zr 2.33
C4 0.8678 0.8678 0.8678  3 Nb 2.28, 3 Zr 2.34

Computed properties:
Calculated density, g/cm³: 7.276
M_tot, μB per atom: 0.001
Energy of formation, meV per atom: -470
Total energy, eV/cell: -78.7


# ZrSiOs

A geometry-optimized ZrSiOs structure (GGA-PBE, the Materials Project).

abc: 6.4400 4.0804 7.5072
angles: 90.00 90.00 90.00
With the nearest neighbours (Å) after each atom.
Fractional coordinates of all 12 atoms:
Zr1 0.0146 0.2500 0.1842  5 Si 2.81-2.89, 6 Os 2.91-3.06
Zr2 0.4854 0.7500 0.6842  5 Si 2.81-2.89, 6 Os 2.91-3.06
Zr3 0.5147 0.2500 0.3158  5 Si 2.81-2.89, 6 Os 2.91-3.06
Zr4 0.9854 0.7500 0.8158  5 Si 2.81-2.89, 6 Os 2.91-3.06
Si1 0.2124 0.7500 0.3784  4 Os 2.46-2.53
Si2 0.2876 0.2500 0.8784  4 Os 2.46-2.53
Si3 0.7124 0.7500 0.1216  4 Os 2.46-2.53
Si4 0.7876 0.2500 0.6216  4 Os 2.46-2.53
Os1 0.1627 0.2500 0.5586  4 Si 2.46-2.53
Os2 0.3373 0.7500 0.0586  4 Si 2.46-2.53
Os3 0.6627 0.2500 0.9414  4 Si 2.46-2.53
Os4 0.8373 0.7500 0.4414  4 Si 2.46-2.53

Computed properties:
Calculated density, g/cm³: 10.422
Energy of formation, meV per atom: -832
Total energy, eV/cell: -110.8


# Sr3Gd2B4O12

A geometry-optimized Sr3Gd2B4O12 structure (GGA-PBE, the Materials Project).

abc: 7.4248 8.7671 16.5003
angles: 90.00 90.00 90.00
With the nearest neighbours (Å) after each atom.
Fractional coordinates of all 84 atoms:
Sr1 0.0287 0.1700 0.0000  6 O 2.46-2.68
Sr2 0.1785 0.6525 0.9560  6 O 2.50-2.78
Sr3 0.1868 0.6483 0.7064  6 O 2.49-2.79
Sr4 0.3132 0.1483 0.2064  6 O 2.49-2.79
Sr5 0.3215 0.1525 0.4560  6 O 2.50-2.78
Sr6 0.4713 0.6700 0.5000  6 O 2.46-2.68
Sr7 0.5287 0.3300 0.0000  6 O 2.46-2.68
Sr8 0.6785 0.8475 0.9560  6 O 2.50-2.78
Sr9 0.6868 0.8517 0.7064  6 O 2.49-2.79
Sr10 0.8132 0.3517 0.2064  6 O 2.49-2.79
Sr11 0.8215 0.3475 0.4560  6 O 2.50-2.78
Sr12 0.9713 0.8300 0.5000  6 O 2.46-2.68
Gd1 0.0303 0.1700 0.6620  5 O 2.27-2.50
Gd2 0.1815 0.5339 0.3318  8 O 2.32-2.55
Gd3 0.3185 0.0339 0.8318  8 O 2.32-2.55
Gd4 0.4697 0.6700 0.1620  5 O 2.27-2.50
Gd5 0.5303 0.3300 0.6620  5 O 2.27-2.50
Gd6 0.6815 0.9661 0.3318  8 O 2.32-2.55
Gd7 0.8185 0.4661 0.8318  8 O 2.32-2.55
Gd8 0.9697 0.8300 0.1620  5 O 2.27-2.50
B1 0.0071 0.1269 0.3286  3 O 1.38-1.41
B2 0.1603 0.4552 0.1275  3 O 1.38-1.40
B3 0.1705 0.4374 0.5403  3 O 1.37-1.40
B4 0.2150 0.3510 0.8295  3 O 1.37-1.39
B5 0.2850 0.8510 0.3295  3 O 1.37-1.39
B6 0.3295 0.9374 0.0403  3 O 1.37-1.40
B7 0.3397 0.9552 0.6275  3 O 1.38-1.40
B8 0.4929 0.6269 0.8286  3 O 1.38-1.41
B9 0.5071 0.3731 0.3286  3 O 1.38-1.41
B10 0.6603 0.0448 0.1275  3 O 1.38-1.40
B11 0.6705 0.0626 0.5403  3 O 1.37-1.40
B12 0.7150 0.1490 0.8295  3 O 1.37-1.39
B13 0.7850 0.6490 0.3295  3 O 1.37-1.39
B14 0.8295 0.5626 0.0403  3 O 1.37-1.40
B15 0.8397 0.5448 0.6275  3 O 1.38-1.40
B16 0.9929 0.8731 0.8286  3 O 1.38-1.41
O1 0.0477 0.9484 0.7571  1 B 1.41
O2 0.0596 0.9296 0.9010  1 B 1.38
O3 0.0912 0.2932 0.5438  1 B 1.40
O4 0.0923 0.5606 0.1833  1 B 1.40
O5 0.0932 0.3089 0.1261  1 B 1.38
O6 0.1103 0.2586 0.3263  1 B 1.39
O7 0.1168 0.5361 0.4803  1 B 1.37
O8 0.1295 0.4898 0.8337  1 B 1.37
O9 0.1931 0.9720 0.0953  1 B 1.39
O10 0.1986 0.9986 0.5774  1 B 1.39
O11 0.2305 0.7735 0.3974  1 B 1.37
O12 0.2409 0.2776 0.7555  1 B 1.39
O13 0.2591 0.7776 0.2555  1 B 1.39
O14 0.2695 0.2735 0.8974  1 B 1.37
O15 0.3014 0.4986 0.0774  1 B 1.39
O16 0.3069 0.4720 0.5953  1 B 1.39
O17 0.3705 0.9898 0.3337  1 B 1.37
O18 0.3832 0.0361 0.9803  1 B 1.37
O19 0.3897 0.7586 0.8263  1 B 1.39
O20 0.4068 0.8089 0.6261  1 B 1.38
O21 0.4077 0.0606 0.6833  1 B 1.40
O22 0.4088 0.7932 0.0438  1 B 1.40
O23 0.4404 0.4296 0.4010  1 B 1.38
O24 0.4523 0.4484 0.2571  1 B 1.41
O25 0.5477 0.5516 0.7571  1 B 1.41
O26 0.5596 0.5704 0.9010  1 B 1.38
O27 0.5912 0.2068 0.5438  1 B 1.40
O28 0.5923 0.9394 0.1833  1 B 1.40
O29 0.5933 0.1911 0.1261  1 B 1.38
O30 0.6103 0.2414 0.3263  1 B 1.39
O31 0.6168 0.9639 0.4803  1 B 1.37
O32 0.6295 0.0102 0.8337  1 B 1.37
O33 0.6931 0.5280 0.0953  1 B 1.39
O34 0.6986 0.5014 0.5774  1 B 1.39
O35 0.7305 0.7265 0.3974  1 B 1.37
O36 0.7409 0.2224 0.7555  1 B 1.39
O37 0.7591 0.7224 0.2555  1 B 1.39
O38 0.7695 0.2265 0.8974  1 B 1.37
O39 0.8014 0.0014 0.0774  1 B 1.39
O40 0.8069 0.0280 0.5953  1 B 1.39
O41 0.8705 0.5102 0.3337  1 B 1.37
O42 0.8832 0.4639 0.9803  1 B 1.37
O43 0.8897 0.7414 0.8263  1 B 1.39
O44 0.9068 0.6911 0.6261  1 B 1.38
O45 0.9077 0.4394 0.6833  1 B 1.40
O46 0.9088 0.7068 0.0438  1 B 1.40
O47 0.9404 0.0704 0.4010  1 B 1.38
O48 0.9523 0.0516 0.2571  1 B 1.41

Computed properties:
Calculated density, g/cm³: 5.025
M_tot, μB per atom: 0.667
Energy of formation, meV per atom: -3349
Total energy, eV/cell: -725.6